# 1
TiTe2 after structural relaxation, computed with PBE. Values from VASP.

```
&SYSTEM
  ibrav = 0, nat = 3, ntyp = 2
/
ATOMIC_SPECIES
Ti 47.87 Ti.upf
Te 127.60 Te.upf
ATOMIC_POSITIONS angstrom
Ti 0.000 0.000 0.000
Te 0.000 2.182 1.724
Te 1.890 1.091 5.093
CELL_PARAMETERS angstrom
3.779 0.000 0.000
-1.890 3.273 0.000
0.000 0.000 6.817
```

## Properties
Energy relative to the elements, eV/atom: -0.978
SG: P-3m1 (164)

=====

# 2
Tl2Te3 after structural relaxation, computed with PBE. Values from VASP.

```
&SYSTEM
  ibrav = 0, nat = 10, ntyp = 2
/
ATOMIC_SPECIES
Tl 204.38 Tl.upf
Te 127.60 Te.upf
ATOMIC_POSITIONS angstrom
Tl 3.385 3.029 4.415
Tl 1.033 0.773 6.830
Tl 3.659 -0.773 2.414
Tl 6.011 -3.029 0.000
Te 0.664 0.861 3.297
Te -1.961 -0.861 7.712
Te 6.428 1.528 4.331
Te 7.045 0.150 1.878
Te 4.420 -0.150 6.293
Te 3.803 -1.528 8.746
CELL_PARAMETERS angstrom
6.011 -3.478 0.000
6.011 3.478 0.000
-5.251 0.000 8.831
```

## Properties
Energy relative to the elements, eV/atom: -0.417
SG: Cc (9)
Offset from the most stable computed form, meV/atom: 31

=====

# 3
Tl2Te after structural relaxation, computed with PBE. Values from VASP.

```
&SYSTEM
  ibrav = 0, nat = 66, ntyp = 2
/
ATOMIC_SPECIES
Tl 204.38 Tl.upf
Te 127.60 Te.upf
ATOMIC_POSITIONS angstrom
Tl -0.052 2.370 27.755
Tl 4.660 3.676 13.089
Tl 1.809 2.430 17.872
Tl -2.957 0.680 31.591
Tl 1.563 0.907 9.868
Tl -1.179 0.391 22.065
Tl 9.014 3.676 2.733
Tl 1.411 -0.391 6.242
Tl -0.367 -0.680 15.769
Tl 6.452 2.197 6.026
Tl 3.615 2.387 27.067
Tl 4.880 2.387 20.401
Tl -1.027 -0.907 25.690
Tl 7.222 2.197 9.797
Tl 2.448 0.568 24.033
Tl 6.479 0.797 2.260
Tl 1.022 0.223 30.470
Tl 3.612 -0.223 14.648
Tl 6.685 2.430 29.596
Tl 5.038 -0.568 8.210
Tl 8.547 2.370 19.713
Tl 7.195 0.797 13.563
Tl 3.889 -0.797 18.082
Tl 2.537 -2.370 11.932
Tl 6.046 0.568 23.435
Tl 4.399 -2.430 2.049
Tl 7.472 0.223 16.997
Tl 10.062 -0.223 1.175
Tl 4.605 -0.797 29.385
Tl 8.636 -0.568 7.612
Tl 3.862 -2.197 21.849
Tl 12.111 0.907 5.955
Tl 6.204 -2.387 11.244
Tl 7.470 -2.387 4.579
Tl 4.633 -2.197 25.619
Tl 11.452 0.680 15.877
Tl 9.673 0.391 25.403
Tl 2.070 -3.676 28.912
Tl 12.263 -0.391 9.580
Tl 9.521 -0.907 21.778
Tl 14.041 -0.680 0.054
Tl 9.275 -2.430 13.773
Tl 6.425 -3.676 18.556
Tl 11.137 -2.370 3.890
Te 3.197 2.295 7.161
Te -2.799 0.605 28.315
Te 4.247 3.639 23.734
Te -0.209 -0.605 12.492
Te 4.904 2.331 16.309
Te 2.178 0.611 20.507
Te 3.590 2.331 31.159
Te 4.545 0.765 11.736
Te 4.767 -0.611 4.685
Te 1.955 -0.765 27.558
Te 10.477 2.295 8.661
Te 0.607 -2.295 22.984
Te 9.129 0.765 4.087
Te 6.317 0.611 26.960
Te 6.540 -0.765 19.909
Te 7.494 -2.331 0.486
Te 8.907 -0.611 11.138
Te 6.180 -2.331 15.336
Te 11.293 0.605 19.153
Te 6.837 -3.639 7.911
Te 13.883 -0.605 3.331
Te 7.887 -2.295 24.484
CELL_PARAMETERS angstrom
8.132 -4.586 0.000
8.132 4.586 0.000
-5.180 0.000 31.645
```

## Properties
Energy relative to the elements, eV/atom: -0.441
SG: C2/c (15)

=====

# 4
Tl2Te3 after structural relaxation, computed with PBE. Values from VASP.

```
&SYSTEM
  ibrav = 0, nat = 10, ntyp = 2
/
ATOMIC_SPECIES
Tl 204.38 Tl.upf
Te 127.60 Te.upf
ATOMIC_POSITIONS angstrom
Tl 4.038 2.288 4.341
Tl 6.059 2.288 7.482
Tl 5.131 -2.288 0.400
Tl 7.152 -2.288 3.541
Te 2.275 0.963 7.307
Te 6.142 0.909 1.971
Te 3.369 -0.963 3.366
Te 7.821 0.963 4.517
Te 5.048 -0.909 5.912
Te 8.915 -0.963 0.575
CELL_PARAMETERS angstrom
6.689 -3.330 0.000
6.689 3.330 0.000
-2.187 0.000 7.882
```

## Properties
Energy relative to the elements, eV/atom: -0.448
SG: C2/c (15)
Offset from the most stable computed form, meV/atom: 0

=====

# 5
Tl5Te3 after structural relaxation, computed with PBE. Values from VASP.

```
&SYSTEM
  ibrav = 0, nat = 16, ntyp = 2
/
ATOMIC_SPECIES
Tl 204.38 Tl.upf
Te 127.60 Te.upf
ATOMIC_POSITIONS angstrom
Tl 5.681 1.739 -1.812
Tl 1.779 3.501 -1.841
Tl 0.000 0.000 3.235
Tl 5.754 1.779 1.841
Tl 2.848 1.126 4.851
Tl 1.739 3.574 1.812
Tl -1.054 2.889 4.879
Tl 2.889 1.054 8.503
Tl 0.000 0.000 10.147
Tl -1.126 2.848 8.532
Te 0.000 0.000 0.000
Te 2.905 0.976 0.074
Te 3.652 -1.722 6.617
Te 0.000 0.000 6.691
Te 0.976 6.349 -0.074
Te 1.722 3.652 6.765
CELL_PARAMETERS angstrom
-4.627 4.627 6.691
4.627 -4.627 6.691
4.627 4.627 -6.691
```

## Properties
Energy relative to the elements, eV/atom: -0.306
SG: I-4 (82)
Total magnetization, μB per atom: 0.000
Offset from the most stable computed form, meV/atom: 132

=====

# 6
Tl5Te3 after structural relaxation, computed with PBE. Values from VASP.

```
&SYSTEM
  ibrav = 0, nat = 16, ntyp = 2
/
ATOMIC_SPECIES
Tl 204.38 Tl.upf
Te 127.60 Te.upf
ATOMIC_POSITIONS angstrom
Tl 0.000 0.000 0.000
Tl 3.188 -1.349 2.041
Tl 5.886 -1.349 4.494
Tl 5.886 1.349 2.041
Tl 3.188 1.349 4.494
Tl 0.000 0.000 6.534
Tl 1.349 3.188 2.041
Tl -1.349 3.188 4.494
Tl -1.349 5.886 2.041
Tl 1.349 5.886 4.494
Te 3.108 1.429 0.000
Te 0.000 0.000 3.267
Te 3.108 -1.429 6.534
Te 1.429 5.966 0.000
Te 0.000 0.000 9.801
Te 1.429 3.108 6.534
CELL_PARAMETERS angstrom
-4.537 4.537 6.534
4.537 -4.537 6.534
4.537 4.537 -6.534
```

## Properties
Energy relative to the elements, eV/atom: -0.438
SG: I4/mcm (140)
Offset from the most stable computed form, meV/atom: 0

=====

# 7
TmTlTe2 after structural relaxation, computed with PBE. Values from VASP.

```
&SYSTEM
  ibrav = 0, nat = 4, ntyp = 3
/
ATOMIC_SPECIES
Tm 168.93 Tm.upf
Tl 204.38 Tl.upf
Te 127.60 Te.upf
ATOMIC_POSITIONS angstrom
Tm 0.000 0.000 0.000
Tl 0.000 0.000 12.332
Te 0.000 0.000 6.505
Te 0.000 0.000 18.159
CELL_PARAMETERS angstrom
2.208 1.275 8.221
-2.208 1.275 8.221
0.000 -2.550 8.221
```

## Properties
Energy relative to the elements, eV/atom: -1.238
SG: R-3m (166)

=====

# 8
TmTe2 after structural relaxation, computed with PBE. Values from VASP.

```
&SYSTEM
  ibrav = 0, nat = 6, ntyp = 2
/
ATOMIC_SPECIES
Tm 168.93 Tm.upf
Te 127.60 Te.upf
ATOMIC_POSITIONS angstrom
Tm 1.106 1.106 2.013
Tm 3.319 3.319 6.771
Te 1.106 1.106 7.660
Te 1.106 3.319 4.392
Te 3.319 1.106 4.392
Te 3.319 3.319 1.124
CELL_PARAMETERS angstrom
4.426 0.000 0.000
0.000 4.426 0.000
0.000 0.000 8.783
```

## Properties
Energy relative to the elements, eV/atom: -1.351
SG: P4/nmm (129)
Total magnetization, μB per atom: 0.000

=====

# 9
Tm2Te5 after structural relaxation, computed with PBE. Values from VASP.

```
&SYSTEM
  ibrav = 0, nat = 14, ntyp = 2
/
ATOMIC_SPECIES
Tm 168.93 Tm.upf
Te 127.60 Te.upf
ATOMIC_POSITIONS angstrom
Tm 2.184 17.280 3.287
Tm 2.184 8.292 3.287
Tm 2.184 -8.292 1.096
Tm 2.184 -17.280 1.096
Te 2.184 19.679 1.096
Te 2.184 14.071 3.287
Te 2.184 10.737 1.096
Te 2.184 5.157 3.287
Te 2.184 1.814 1.096
Te 2.184 -1.814 3.287
Te 2.184 -5.157 1.096
Te 2.184 -10.737 3.287
Te 2.184 -14.071 1.096
Te 2.184 -19.679 3.287
CELL_PARAMETERS angstrom
2.184 -21.474 0.000
2.184 21.474 0.000
0.000 0.000 4.383
```

## Properties
Energy relative to the elements, eV/atom: -1.216
SG: Cmcm (63)
Total magnetization, μB per atom: 0.001

=====

# 10
TmTe after structural relaxation, computed with PBE. Values from VASP.

```
&SYSTEM
  ibrav = 0, nat = 4, ntyp = 2
/
ATOMIC_SPECIES
Tm 168.93 Tm.upf
Te 127.60 Te.upf
ATOMIC_POSITIONS angstrom
Tm 0.000 0.000 0.000
Tm 0.000 0.000 3.618
Te 0.000 2.467 1.809
Te 2.136 1.233 5.427
CELL_PARAMETERS angstrom
4.272 0.000 0.000
-2.136 3.700 0.000
0.000 0.000 7.237
```

## Properties
Energy relative to the elements, eV/atom: -1.409
SG: P6_3/mmc (194)

=====

# 11
TmTe3 after structural relaxation, computed with PBE. Values from VASP.

```
&SYSTEM
  ibrav = 0, nat = 8, ntyp = 2
/
ATOMIC_SPECIES
Tm 168.93 Tm.upf
Te 127.60 Te.upf
ATOMIC_POSITIONS angstrom
Tm 2.168 8.513 3.256
Tm 2.168 -8.513 1.085
Te 2.168 10.964 1.085
Te 2.168 5.340 3.256
Te 2.168 1.948 1.085
Te 2.168 -1.948 3.256
Te 2.168 -5.340 1.085
Te 2.168 -10.964 3.256
CELL_PARAMETERS angstrom
2.168 -12.912 0.000
2.168 12.912 0.000
0.000 0.000 4.341
```

## Properties
Energy relative to the elements, eV/atom: -1.186
SG: Cmcm (63)

=====

# 12
TmTe after structural relaxation, computed with PBE. Values from VASP.

```
&SYSTEM
  ibrav = 0, nat = 2, ntyp = 2
/
ATOMIC_SPECIES
Tm 168.93 Tm.upf
Te 127.60 Te.upf
ATOMIC_POSITIONS angstrom
Tm 0.000 0.000 0.000
Te 3.039 3.039 3.039
CELL_PARAMETERS angstrom
0.000 3.039 3.039
3.039 0.000 3.039
3.039 3.039 0.000
```

## Properties
Energy relative to the elements, eV/atom: -1.374
SG: Fm-3m (225)

=====

# 13
TmTe after structural relaxation, computed with PBE. Values from VASP.

```
&SYSTEM
  ibrav = 0, nat = 2, ntyp = 2
/
ATOMIC_SPECIES
Tm 168.93 Tm.upf
Te 127.60 Te.upf
ATOMIC_POSITIONS angstrom
Tm 0.000 0.000 0.000
Te 1.874 1.874 1.874
CELL_PARAMETERS angstrom
3.747 0.000 0.000
0.000 3.747 0.000
0.000 0.000 3.747
```

## Properties
Energy relative to the elements, eV/atom: -1.266
SG: Pm-3m (221)
Total magnetization, μB per atom: 0.316

=====

# 14
Tm2Te3 after structural relaxation, computed with PBE. Values from VASP.

```
&SYSTEM
  ibrav = 0, nat = 20, ntyp = 2
/
ATOMIC_SPECIES
Tm 168.93 Tm.upf
Te 127.60 Te.upf
ATOMIC_POSITIONS angstrom
Tm 1.079 1.522 1.105
Tm 3.238 4.565 3.260
Tm 1.079 1.522 5.413
Tm 5.397 7.608 9.778
Tm 3.238 4.565 16.292
Tm 7.556 10.651 20.657
Tm 5.397 7.608 22.810
Tm 7.556 10.651 24.965
Te 3.232 1.526 7.616
Te 5.378 4.565 9.776
Te 3.245 1.526 11.936
Te 5.404 4.569 14.134
Te 7.536 7.608 16.294
Te 5.390 4.569 18.454
Te 3.245 7.604 7.616
Te 1.099 4.565 9.776
Te 3.232 7.604 11.936
Te 5.390 10.647 14.134
Te 3.258 7.608 16.294
Te 5.404 10.647 18.454
CELL_PARAMETERS angstrom
0.000 6.086 13.035
4.318 0.000 13.035
4.318 6.086 0.000
```

## Properties
Energy relative to the elements, eV/atom: -1.623
SG: Fddd (70)

=====

# 15
TmTe3 after structural relaxation, computed with PBE. Values from VASP.

```
&SYSTEM
  ibrav = 0, nat = 8, ntyp = 2
/
ATOMIC_SPECIES
Tm 168.93 Tm.upf
Te 127.60 Te.upf
ATOMIC_POSITIONS angstrom
Tm 1.975 12.610 3.481
Tm 1.975 -12.610 1.160
Te 1.975 9.452 3.481
Te 1.975 5.191 3.481
Te 1.975 1.429 3.481
Te 1.975 -1.429 1.160
Te 1.975 -5.191 1.160
Te 1.975 -9.452 1.160
CELL_PARAMETERS angstrom
1.975 -13.998 0.000
1.975 13.998 0.000
0.000 0.000 4.642
```

## Properties
Energy relative to the elements, eV/atom: -0.829
SG: Cmcm (63)
Total magnetization, μB per atom: 0.000

=====

# 16
TmTe after structural relaxation, computed with PBE. Values from VASP.

```
&SYSTEM
  ibrav = 0, nat = 4, ntyp = 2
/
ATOMIC_SPECIES
Tm 168.93 Tm.upf
Te 127.60 Te.upf
ATOMIC_POSITIONS angstrom
Tm 0.000 2.370 1.949
Tm 2.052 1.185 5.848
Te 0.000 0.000 0.000
Te 0.000 0.000 3.899
CELL_PARAMETERS angstrom
4.104 0.000 0.000
-2.052 3.554 0.000
0.000 0.000 7.797
```

## Properties
Energy relative to the elements, eV/atom: -1.359
SG: P6_3/mmc (194)

=====

# 17
TmUTe6 after structural relaxation, computed with PBE. Values from VASP.

```
&SYSTEM
  ibrav = 0, nat = 8, ntyp = 3
/
ATOMIC_SPECIES
Tm 168.93 Tm.upf
U 238.03 U.upf
Te 127.60 Te.upf
ATOMIC_POSITIONS angstrom
Tm 0.000 0.000 0.000
U 2.184 0.000 8.719
Te 0.000 0.000 6.317
Te 0.000 0.000 15.309
Te 0.000 0.000 22.579
Te 2.184 0.000 2.414
Te 2.184 0.000 11.940
Te 2.184 0.000 19.233
CELL_PARAMETERS angstrom
4.367 0.000 0.000
0.000 2.179 12.910
0.000 -2.179 12.910
```

## Properties
Energy relative to the elements, eV/atom: -1.014
SG: Amm2 (38)

=====

# 18
UTe3 after structural relaxation, computed with PBE. Values from VASP.

```
&SYSTEM
  ibrav = 0, nat = 8, ntyp = 2
/
ATOMIC_SPECIES
U 238.03 U.upf
Te 127.60 Te.upf
ATOMIC_POSITIONS angstrom
U 2.182 8.355 3.336
U 2.182 -8.355 1.112
Te 2.182 10.678 1.112
Te 2.182 5.103 3.336
Te 2.182 1.832 1.112
Te 2.182 -1.832 3.336
Te 2.182 -5.103 1.112
Te 2.182 -10.678 3.336
CELL_PARAMETERS angstrom
2.182 -12.510 0.000
2.182 12.510 0.000
0.000 0.000 4.447
```

## Properties
Energy relative to the elements, eV/atom: -0.843
SG: Cmcm (63)

=====

# 19
UTe3 after structural relaxation, computed with PBE. Values from VASP.

```
&SYSTEM
  ibrav = 0, nat = 8, ntyp = 2
/
ATOMIC_SPECIES
U 238.03 U.upf
Te 127.60 Te.upf
ATOMIC_POSITIONS angstrom
U 0.869 1.057 3.628
U 3.854 3.171 6.867
Te -0.729 1.057 8.650
Te 0.851 3.171 5.908
Te 2.242 3.171 1.714
Te 2.480 1.057 8.781
Te 3.872 1.057 4.587
Te 5.452 3.171 1.845
CELL_PARAMETERS angstrom
6.033 0.000 0.000
0.000 4.227 0.000
-1.310 0.000 10.495
```

## Properties
Energy relative to the elements, eV/atom: -0.846
SG: P2_1/m (11)

=====

# 20
U2Te3 after structural relaxation, computed with PBE. Values from VASP.

```
&SYSTEM
  ibrav = 0, nat = 20, ntyp = 2
/
ATOMIC_SPECIES
U 238.03 U.upf
Te 127.60 Te.upf
ATOMIC_POSITIONS angstrom
U 0.000 0.000 0.000
U 0.018 2.149 4.757
U 2.213 2.149 8.597
U 3.680 2.149 2.566
U 5.874 2.149 10.786
U 5.898 0.000 6.030
U 8.067 0.000 2.178
U 9.536 0.000 8.210
Te 0.696 0.000 6.947
Te 1.478 0.000 2.945
Te 2.386 2.149 11.717
Te 3.504 2.149 5.686
Te 4.417 0.000 8.975
Te 5.196 0.000 0.917
Te 6.559 2.149 3.836
Te 7.329 2.149 7.849
Te 8.238 0.000 11.121
Te 9.363 0.000 5.098
Te 10.281 2.149 1.819
Te 11.037 2.149 9.862
CELL_PARAMETERS angstrom
11.709 0.000 0.000
0.000 4.297 0.000
-0.009 0.000 12.059
```

## Properties
Energy relative to the elements, eV/atom: -0.898
SG: Pm (6)